(1)
Here is an optimized crystal structure of SbCl2F3 from the Materials Project. Energies are from PBE-GGA.

Summary:
Calculated total energy in eV per atom: -3.870
Calculated formation energy in eV/atom: -1.84
Symmetry: P2_1/c (14)
Mass density in g/cm3: 2.8

Cell: 11.9315 10.8225 17.5992 Å, 90.00 128.66 90.00°
With the nearest neighbours (Å) after each atom.
Positions (direct):
Sb: 0.2018 0.1170 0.3964  5 F 1.91-2.10
Sb: 0.2018 0.3830 0.8964  5 F 1.91-2.10
Sb: 0.2537 0.0496 0.0292  5 F 1.90-2.09
Sb: 0.2537 0.4504 0.5292  5 F 1.90-2.09
Sb: 0.2812 0.6502 0.1684  4 Cl 2.27-2.28
Sb: 0.2812 0.8498 0.6684  4 Cl 2.27-2.28
Sb: 0.7188 0.1502 0.3316  4 Cl 2.27-2.28
Sb: 0.7188 0.3498 0.8316  4 Cl 2.27-2.28
Sb: 0.7463 0.5496 0.4708  5 F 1.90-2.09
Sb: 0.7463 0.9504 0.9708  5 F 1.90-2.09
Sb: 0.7982 0.6170 0.1036  5 F 1.91-2.10
Sb: 0.7982 0.8830 0.6036  5 F 1.91-2.10
Cl: 0.0818 0.6798 0.0120  1 Sb 2.27
Cl: 0.0818 0.8202 0.5120  1 Sb 2.27
Cl: 0.1260 0.2004 0.2495  1 Sb 2.32
Cl: 0.1260 0.2996 0.7495  1 Sb 2.32
Cl: 0.2669 0.0446 0.7109  1 Sb 2.28
Cl: 0.2669 0.4554 0.2109  1 Sb 2.28
Cl: 0.2877 0.7137 0.7691  1 Sb 2.27
Cl: 0.2877 0.7863 0.2691  1 Sb 2.27
Cl: 0.3075 0.5667 0.4451  1 Sb 2.32
Cl: 0.3075 0.9333 0.9451  1 Sb 2.32
Cl: 0.4728 0.6614 0.1700  1 Sb 2.27
Cl: 0.4728 0.8386 0.6700  1 Sb 2.27
Cl: 0.5272 0.1614 0.3300  1 Sb 2.27
Cl: 0.5272 0.3386 0.8300  1 Sb 2.27
Cl: 0.6925 0.0667 0.0549  1 Sb 2.32
Cl: 0.6925 0.4333 0.5549  1 Sb 2.32
Cl: 0.7123 0.2137 0.7309  1 Sb 2.27
Cl: 0.7123 0.2863 0.2309  1 Sb 2.27
Cl: 0.7331 0.5446 0.7891  1 Sb 2.28
Cl: 0.7331 0.9554 0.2891  1 Sb 2.28
Cl: 0.8740 0.7004 0.2505  1 Sb 2.32
Cl: 0.8740 0.7996 0.7505  1 Sb 2.32
Cl: 0.9182 0.1798 0.4880  1 Sb 2.27
Cl: 0.9182 0.3202 0.9880  1 Sb 2.27
F: 0.0103 0.1273 0.3556  1 Sb 1.92
F: 0.0103 0.3727 0.8556  1 Sb 1.92
F: 0.0531 0.0214 0.9331  1 Sb 1.90
F: 0.0531 0.4786 0.4331  1 Sb 1.90
F: 0.1807 0.5514 0.8579  1 Sb 1.91
F: 0.1807 0.9486 0.3579  1 Sb 1.91
F: 0.2129 0.1607 0.0927  1 Sb 1.90
F: 0.2129 0.3393 0.5927  1 Sb 1.90
F: 0.2266 0.2009 0.9457  2 Sb 2.09-2.10
F: 0.2266 0.2991 0.4457  2 Sb 2.09-2.10
F: 0.2640 0.0716 0.5224  1 Sb 1.91
F: 0.2640 0.4284 0.0224  1 Sb 1.91
F: 0.2855 0.5850 0.6121  1 Sb 1.92
F: 0.2855 0.9150 0.1121  1 Sb 1.92
F: 0.3984 0.1283 0.4497  1 Sb 1.91
F: 0.3984 0.3717 0.9497  1 Sb 1.91
F: 0.4514 0.1020 0.1214  1 Sb 1.93
F: 0.4514 0.3980 0.6214  1 Sb 1.93
F: 0.5486 0.6020 0.3786  1 Sb 1.93
F: 0.5486 0.8980 0.8786  1 Sb 1.93
F: 0.6016 0.6283 0.0503  1 Sb 1.91
F: 0.6016 0.8717 0.5503  1 Sb 1.91
F: 0.7145 0.0850 0.8879  1 Sb 1.92
F: 0.7145 0.4150 0.3879  1 Sb 1.92
F: 0.7360 0.5716 0.9776  1 Sb 1.91
F: 0.7360 0.9284 0.4776  1 Sb 1.91
F: 0.7734 0.7009 0.5543  2 Sb 2.09-2.10
F: 0.7734 0.7991 0.0543  2 Sb 2.09-2.10
F: 0.7871 0.6607 0.4073  1 Sb 1.90
F: 0.7871 0.8393 0.9073  1 Sb 1.90
F: 0.8193 0.0514 0.6421  1 Sb 1.91
F: 0.8193 0.4486 0.1421  1 Sb 1.91
F: 0.9469 0.5214 0.5669  1 Sb 1.90
F: 0.9469 0.9786 0.0669  1 Sb 1.90
F: 0.9897 0.6273 0.1444  1 Sb 1.92
F: 0.9897 0.8727 0.6444  1 Sb 1.92

(2)
Here is an optimized crystal structure of Sb4Cl13F7 from the Materials Project. Energies are from PBE-GGA.

Summary:
Calculated total energy in eV per atom: -3.466
Calculated formation energy in eV/atom: -1.35
Symmetry: P1 (1)
Mass density in g/cm3: 2.5

Cell: 7.8542 10.2799 10.2807 Å, 81.86 67.77 67.75°
With the nearest neighbours (Å) after each atom.
Positions (direct):
Sb: 0.0000 0.0000 0.0000  3 F 1.90-2.13
Sb: 0.0924 0.4727 0.3412  2 F 1.90-2.09
Sb: 0.2683 0.5640 0.9035  2 F 2.17-2.19, 4 Cl 2.32-2.33
Sb: 0.8306 0.9076 0.4345  3 F 1.91-2.13
Cl: 0.0917 0.0340 0.7587  1 Sb 2.32
Cl: 0.2609 0.2401 0.2697  1 Sb 2.32
Cl: 0.3501 0.6386 0.6716  1 Sb 2.32
Cl: 0.3807 0.3222 0.8711  1 Sb 2.33
Cl: 0.5434 0.5689 0.9358  1 Sb 2.33
Cl: 0.5709 0.8760 0.4031  1 Sb 2.32
Cl: 0.6827 0.1492 0.4683  1 Sb 2.32
Cl: 0.7072 0.9691 0.0323  1 Sb 2.33
Cl: 0.7699 0.8351 0.6667  1 Sb 2.32
Cl: 0.7974 0.5059 0.3137  1 Sb 2.33
Cl: 0.8649 0.2321 0.0746  1 Sb 2.32
Cl: 0.9422 0.5985 0.9415  1 Sb 2.33
Cl: 0.9773 0.4404 0.5835  1 Sb 2.33
F: 0.0865 0.9036 0.4096  1 Sb 1.91
F: 0.1371 0.7809 0.9732  2 Sb 2.10-2.17
F: 0.1786 0.5375 0.1319  2 Sb 2.09-2.19
F: 0.2501 0.9758 0.0046  1 Sb 1.90
F: 0.3224 0.4978 0.3375  1 Sb 1.90
F: 0.9441 0.9347 0.2133  2 Sb 2.13
F: 0.9867 0.6956 0.3688  2 Sb 2.12-2.14

(3)
Here is an optimized crystal structure of SbTeCl3F6 from the Materials Project. Energies are from PBE-GGA.

Summary:
Calculated total energy in eV per atom: -3.907
Calculated formation energy in eV/atom: -1.95
Symmetry: Pnma (62)
Mass density in g/cm3: 3.1

Cell: 17.5013 8.6692 6.5399 Å, 90.00 90.00 90.00°
With the nearest neighbours (Å) after each atom.
Positions (direct):
Sb: 0.0751 0.2500 0.1519  6 F 1.90-1.95
Sb: 0.4249 0.7500 0.6519  6 F 1.90-1.95
Sb: 0.5751 0.2500 0.3481  6 F 1.90-1.95
Sb: 0.9249 0.7500 0.8481  6 F 1.90-1.95
Te: 0.1042 0.7500 0.3712  3 Cl 2.31
Te: 0.3958 0.2500 0.8712  3 Cl 2.31
Te: 0.6042 0.7500 0.1288  3 Cl 2.31
Te: 0.8958 0.2500 0.6288  3 Cl 2.31
Cl: 0.1429 0.5568 0.5921  1 Te 2.31
Cl: 0.1429 0.9432 0.5921  1 Te 2.31
Cl: 0.2114 0.7500 0.1646  1 Te 2.31
Cl: 0.2886 0.2500 0.6646  1 Te 2.31
Cl: 0.3571 0.0568 0.0921  1 Te 2.31
Cl: 0.3571 0.4432 0.0921  1 Te 2.31
Cl: 0.6429 0.5568 0.9079  1 Te 2.31
Cl: 0.6429 0.9432 0.9079  1 Te 2.31
Cl: 0.7114 0.7500 0.3354  1 Te 2.31
Cl: 0.7886 0.2500 0.8354  1 Te 2.31
Cl: 0.8571 0.0568 0.4079  1 Te 2.31
Cl: 0.8571 0.4432 0.4079  1 Te 2.31
F: 0.0257 0.7500 0.9628  1 Sb 1.92
F: 0.0270 0.2500 0.4216  1 Sb 1.95
F: 0.0736 0.0269 0.1600  1 Sb 1.93
F: 0.0736 0.4731 0.1600  1 Sb 1.93
F: 0.1173 0.2500 0.8834  1 Sb 1.91
F: 0.1741 0.2500 0.2726  1 Sb 1.90
F: 0.3259 0.7500 0.7726  1 Sb 1.90
F: 0.3827 0.7500 0.3834  1 Sb 1.91
F: 0.4264 0.5269 0.6600  1 Sb 1.93
F: 0.4264 0.9731 0.6600  1 Sb 1.93
F: 0.4730 0.7500 0.9216  1 Sb 1.95
F: 0.4743 0.2500 0.4628  1 Sb 1.92
F: 0.5257 0.7500 0.5372  1 Sb 1.92
F: 0.5270 0.2500 0.0784  1 Sb 1.95
F: 0.5736 0.0269 0.3400  1 Sb 1.93
F: 0.5736 0.4731 0.3400  1 Sb 1.93
F: 0.6173 0.2500 0.6166  1 Sb 1.91
F: 0.6741 0.2500 0.2274  1 Sb 1.90
F: 0.8259 0.7500 0.7274  1 Sb 1.90
F: 0.8827 0.7500 0.1166  1 Sb 1.91
F: 0.9264 0.5269 0.8400  1 Sb 1.93
F: 0.9264 0.9731 0.8400  1 Sb 1.93
F: 0.9730 0.7500 0.5784  1 Sb 1.95
F: 0.9743 0.2500 0.0372  1 Sb 1.92

(4)
Here is an optimized crystal structure of SmClF from the Materials Project. Energies are from PBE-GGA.

Summary:
Calculated total energy in eV per atom: -5.386
Calculated formation energy in eV/atom: -2.71
Symmetry: P4/nmm (129)
Mass density in g/cm3: 5.7

Cell: 3.6524 3.6524 8.9263 Å, 90.00 90.00 90.00°
With the nearest neighbours (Å) after each atom.
Positions (direct):
Sm: 0.2500 0.2500 0.1932  4 F 2.51
Sm: 0.7500 0.7500 0.8068  4 F 2.51
Cl: 0.2500 0.2500 0.6629  4 Sm 2.88
Cl: 0.7500 0.7500 0.3371  4 Sm 2.88
F: 0.2500 0.7500 0.0000  4 Sm 2.51, 4 F 2.58
F: 0.7500 0.2500 0.0000  4 Sm 2.51, 4 F 2.58

(5)
Here is an optimized crystal structure of SrSmCl2F2 from the Materials Project. Energies are from PBE-GGA.

Summary:
Calculated total energy in eV per atom: -5.171
Calculated formation energy in eV/atom: -3.00
Symmetry: P4mm (99)
Mass density in g/cm3: 5.0

Cell: 4.0175 4.0175 7.1543 Å, 90.00 90.00 90.00°
With the nearest neighbours (Å) after each atom.
Positions (direct):
Sr: 0.0000 0.0000 0.0000  4 F 2.49
Sm: 0.5000 0.5000 0.4317  4 F 2.58, 1 Cl 2.89
Cl: 0.0000 0.0000 0.5488  4 Sm 2.96, 4 F 3.18, 1 Sr 3.23
Cl: 0.5000 0.5000 0.8360  1 Sm 2.89, 4 Sr 3.07
F: 0.0000 0.5000 0.2047  2 Sr 2.49, 2 Sm 2.58
F: 0.5000 0.0000 0.2047  2 Sr 2.49, 2 Sm 2.58

(6)
Here is an optimized crystal structure of SnClF from the Materials Project. Energies are from PBE-GGA.

Summary:
Calculated total energy in eV per atom: -4.236
Calculated formation energy in eV/atom: -1.80
Symmetry: Pnma (62)
Distance to the lowest polymorph of the same formula in meV per atom: 0
Mass density in g/cm3: 3.9

Cell: 6.3302 4.4037 10.5378 Å, 90.00 90.00 90.00°
With the nearest neighbours (Å) after each atom.
Positions (direct):
Sn: 0.2168 0.2500 0.0790  3 F 2.28-2.40, 1 Cl 2.55
Sn: 0.2832 0.7500 0.5790  3 F 2.28-2.40, 1 Cl 2.55
Sn: 0.7168 0.2500 0.4210  3 F 2.28-2.40, 1 Cl 2.55
Sn: 0.7832 0.7500 0.9210  3 F 2.28-2.40, 1 Cl 2.55
Cl: 0.0978 0.7500 0.3637  1 Sn 2.55
Cl: 0.4022 0.2500 0.8637  1 Sn 2.55
Cl: 0.5978 0.7500 0.1363  1 Sn 2.55
Cl: 0.9022 0.2500 0.6363  1 Sn 2.55
F: 0.1024 0.7500 0.0217  3 Sn 2.28-2.40
F: 0.3976 0.2500 0.5217  3 Sn 2.28-2.40
F: 0.6024 0.7500 0.4783  3 Sn 2.28-2.40
F: 0.8976 0.2500 0.9783  3 Sn 2.28-2.40

(7)
Here is an optimized crystal structure of Sn2ClF3 from the Materials Project. Energies are from PBE-GGA.

Summary:
Calculated total energy in eV per atom: -4.547
Calculated formation energy in eV/atom: -2.18
Symmetry: P2_13 (198)
Maximum piezoelectric response in C/m²: 1.13
Mass density in g/cm3: 4.3

Cell: 7.9926 7.9926 7.9926 Å, 90.00 90.00 90.00°
With the nearest neighbours (Å) after each atom.
Positions (direct):
Sn: 0.0673 0.4327 0.5673  3 F 2.22
Sn: 0.1034 0.8966 0.3966  3 F 2.15
Sn: 0.3966 0.1034 0.8966  3 F 2.15
Sn: 0.4327 0.5673 0.0673  3 F 2.22
Sn: 0.5673 0.0673 0.4327  3 F 2.22
Sn: 0.6034 0.6034 0.6034  3 F 2.15
Sn: 0.8966 0.3966 0.1034  3 F 2.15
Sn: 0.9327 0.9327 0.9327  3 F 2.22
Cl: 0.2363 0.7363 0.7637  6 Sn 3.19-3.37, 9 F 3.26-3.51
Cl: 0.2637 0.2637 0.2637  6 Sn 3.19-3.37, 9 F 3.26-3.51
Cl: 0.7363 0.7637 0.2363  6 Sn 3.19-3.37, 9 F 3.26-3.51
Cl: 0.7637 0.2363 0.7363  6 Sn 3.19-3.37, 9 F 3.26-3.51
F: 0.1191 0.8719 0.1295  2 Sn 2.15-2.22
F: 0.1281 0.6295 0.3809  2 Sn 2.15-2.22
F: 0.1295 0.1191 0.8719  2 Sn 2.15-2.22
F: 0.3705 0.8809 0.3719  2 Sn 2.15-2.22
F: 0.3719 0.3705 0.8809  2 Sn 2.15-2.22
F: 0.3809 0.1281 0.6295  2 Sn 2.15-2.22
F: 0.6191 0.6281 0.8705  2 Sn 2.15-2.22
F: 0.6281 0.8705 0.6191  2 Sn 2.15-2.22
F: 0.6295 0.3809 0.1281  2 Sn 2.15-2.22
F: 0.8705 0.6191 0.6281  2 Sn 2.15-2.22
F: 0.8719 0.1295 0.1191  2 Sn 2.15-2.22
F: 0.8809 0.3719 0.3705  2 Sn 2.15-2.22

(8)
Here is an optimized crystal structure of SnClF from the Materials Project. Energies are from PBE-GGA.

Summary:
Calculated total energy in eV per atom: -4.196
Calculated formation energy in eV/atom: -1.76
Symmetry: P4/nmm (129)
Distance to the lowest polymorph of the same formula in meV per atom: 40
Mass density in g/cm3: 4.7

Cell: 4.0550 4.0550 7.3639 Å, 90.00 90.00 90.00°
With the nearest neighbours (Å) after each atom.
Positions (direct):
Sn: 0.2500 0.2500 0.2036  4 F 2.52
Sn: 0.7500 0.7500 0.7964  4 F 2.52
Cl: 0.2500 0.2500 0.6506  5 Sn 3.06-3.29, 4 F 3.28
Cl: 0.7500 0.7500 0.3494  5 Sn 3.06-3.29, 4 F 3.28
F: 0.2500 0.7500 0.0000  4 Sn 2.52
F: 0.7500 0.2500 0.0000  4 Sn 2.52